(1)
# Sm2TeO6 r²SCAN optimized geometry
# * calculated volume: 387.8 Å³/cell
# * space-group type: No. 150
# * formation energy: -2757 meV/atom
data_Sm2TeO6
_cell_length_a 9.1508
_cell_length_b 9.1512
_cell_length_c 5.3468
_cell_angle_alpha 90.00
_cell_angle_beta 90.00
_cell_angle_gamma 120.00
_space_group_name_H-M_alt 'P 1'
_space_group_IT_number 1
_space_group_name_Hall 'P 1'
loop_
_atom_site_label
_atom_site_type_symbol
_atom_site_fract_x
_atom_site_fract_y
_atom_site_fract_z
Sm1 Sm 0.0000 0.6095 0.5000
Sm2 Sm 0.0000 0.2726 0.0000
Sm3 Sm 0.3906 0.3905 0.5000
Sm4 Sm 0.2726 0.0000 0.9999
Sm5 Sm 0.7274 0.7274 0.0001
Sm6 Sm 0.6095 0.0000 0.5000
Te1 Te 0.3334 0.6666 0.9896
Te2 Te 0.0000 0.0000 0.5000
Te3 Te 0.6666 0.3333 0.0104
O1 O 0.0665 0.8726 0.2905
O2 O 0.2327 0.7642 0.7785
O3 O 0.1370 0.5459 0.1975
O4 O 0.4088 0.8630 0.1975
O5 O 0.2358 0.4685 0.7786
O6 O 0.1274 0.1939 0.2906
O7 O 0.1939 0.1275 0.7095
O8 O 0.5315 0.7673 0.7785
O9 O 0.4542 0.5912 0.1975
O10 O 0.8061 0.9335 0.2905
O11 O 0.4685 0.2358 0.2215
O12 O 0.5912 0.4541 0.8025
O13 O 0.5458 0.1370 0.8025
O14 O 0.7673 0.5315 0.2215
O15 O 0.9335 0.8061 0.7095
O16 O 0.7642 0.2326 0.2214
O17 O 0.8630 0.4089 0.8025
O18 O 0.8726 0.0665 0.7094

=====

(2)
# Sm2TiO5 r²SCAN optimized geometry
# * calculated volume: 457.1 Å³/cell
# * space-group type: No. 62
# * formation energy: -3692 meV/atom
data_Sm2TiO5
_cell_length_a 3.7829
_cell_length_b 10.5986
_cell_length_c 11.4011
_cell_angle_alpha 90.00
_cell_angle_beta 90.00
_cell_angle_gamma 90.00
_space_group_name_H-M_alt 'P 1'
_space_group_IT_number 1
_space_group_name_Hall 'P 1'
loop_
_atom_site_label
_atom_site_type_symbol
_atom_site_fract_x
_atom_site_fract_y
_atom_site_fract_z
Sm1 Sm 0.2500 0.1092 0.2783
Sm2 Sm 0.2500 0.1371 0.9434
Sm3 Sm 0.7500 0.3629 0.4434
Sm4 Sm 0.7500 0.3908 0.7783
Sm5 Sm 0.2500 0.6092 0.2217
Sm6 Sm 0.2500 0.6371 0.5566
Sm7 Sm 0.7500 0.8629 0.0566
Sm8 Sm 0.7500 0.8908 0.7217
Ti1 Ti 0.2500 0.1795 0.6218
Ti2 Ti 0.7500 0.3205 0.1218
Ti3 Ti 0.2500 0.6795 0.8782
Ti4 Ti 0.7500 0.8205 0.3782
O1 O 0.7500 0.0076 0.8958
O2 O 0.2500 0.0159 0.6572
O3 O 0.2500 0.2234 0.4608
O4 O 0.7500 0.2356 0.6189
O5 O 0.7500 0.2371 0.2699
O6 O 0.2500 0.2629 0.7699
O7 O 0.2500 0.2644 0.1189
O8 O 0.7500 0.2766 0.9608
O9 O 0.7500 0.4841 0.1572
O10 O 0.2500 0.4924 0.3958
O11 O 0.7500 0.5076 0.6042
O12 O 0.2500 0.5159 0.8428
O13 O 0.2500 0.7234 0.0392
O14 O 0.7500 0.7356 0.8811
O15 O 0.7500 0.7371 0.2301
O16 O 0.2500 0.7629 0.7301
O17 O 0.2500 0.7644 0.3811
O18 O 0.7500 0.7766 0.5392
O19 O 0.7500 0.9841 0.3428
O20 O 0.2500 0.9924 0.1042

=====

(3)
# Sm2Ti2O7 r²SCAN optimized geometry
# * calculated volume: 268.5 Å³/cell
# * space-group type: No. 227
# * formation energy: -3610 meV/atom
data_Sm2Ti2O7
_cell_length_a 7.2415
_cell_length_b 7.2415
_cell_length_c 7.2415
_cell_angle_alpha 60.00
_cell_angle_beta 60.00
_cell_angle_gamma 60.00
_space_group_name_H-M_alt 'P 1'
_space_group_IT_number 1
_space_group_name_Hall 'P 1'
loop_
_atom_site_label
_atom_site_type_symbol
_atom_site_fract_x
_atom_site_fract_y
_atom_site_fract_z
Sm1 Sm 0.1250 0.1250 0.6250
Sm2 Sm 0.1250 0.6250 0.1250
Sm3 Sm 0.6250 0.1250 0.1250
Sm4 Sm 0.1250 0.1250 0.1250
Ti1 Ti 0.6250 0.6250 0.1250
Ti2 Ti 0.6250 0.1250 0.6250
Ti3 Ti 0.1250 0.6250 0.6250
Ti4 Ti 0.6250 0.6250 0.6250
O1 O 0.2500 0.2500 0.2500
O2 O 0.0000 0.0000 0.0000
O3 O 0.5483 0.9517 0.5483
O4 O 0.2983 0.7017 0.2983
O5 O 0.5483 0.5483 0.9517
O6 O 0.9517 0.5483 0.5483
O7 O 0.5483 0.9517 0.9517
O8 O 0.9517 0.9517 0.5483
O9 O 0.9517 0.5483 0.9517
O10 O 0.7017 0.2983 0.2983
O11 O 0.2983 0.7017 0.7017
O12 O 0.7017 0.2983 0.7017
O13 O 0.2983 0.2983 0.7017
O14 O 0.7017 0.7017 0.2983

=====

(4)
# Sm6U3O17 r²SCAN optimized geometry
# * calculated volume: 365.3 Å³/cell
# * space-group type: No. 5
# * formation energy: -3737 meV/atom
data_Sm6U3O17
_cell_length_a 6.8413
_cell_length_b 6.8413
_cell_length_c 11.2371
_cell_angle_alpha 73.53
_cell_angle_beta 73.53
_cell_angle_gamma 46.91
_space_group_name_H-M_alt 'P 1'
_space_group_IT_number 1
_space_group_name_Hall 'P 1'
loop_
_atom_site_label
_atom_site_type_symbol
_atom_site_fract_x
_atom_site_fract_y
_atom_site_fract_z
Sm1 Sm 0.0176 0.6460 0.3829
Sm2 Sm 0.6834 0.3139 0.1758
Sm3 Sm 0.3005 0.0463 0.9433
Sm4 Sm 0.9537 0.6995 0.0567
Sm5 Sm 0.6861 0.3166 0.8242
Sm6 Sm 0.3540 0.9824 0.6171
U1 U 0.0270 0.6542 0.7203
U2 U 0.6750 0.3250 0.5000
U3 U 0.3458 0.9730 0.2797
O1 O 0.6803 0.9525 0.2344
O2 O 0.2467 0.4437 0.8822
O3 O 0.7431 0.9080 0.8624
O4 O 0.0475 0.3197 0.7656
O5 O 0.4390 0.5567 0.6475
O6 O 0.7762 0.8767 0.5765
O7 O 0.3019 0.3823 0.5545
O8 O 0.1233 0.2238 0.4235
O9 O 0.9230 0.0654 0.3532
O10 O 0.4433 0.5610 0.3525
O11 O 0.2443 0.5304 0.1864
O12 O 0.5563 0.7533 0.1178
O13 O 0.0920 0.2569 0.1376
O14 O 0.9013 0.0987 0.0000
O15 O 0.4696 0.7557 0.8136
O16 O 0.9346 0.0770 0.6468
O17 O 0.6177 0.6981 0.4455

=====

(5)
# SmVO4 r²SCAN optimized geometry
# * calculated volume: 169.2 Å³/cell
# * space-group type: No. 141
# * formation energy: -3260 meV/atom
data_SmVO4
_cell_length_a 6.0572
_cell_length_b 6.0572
_cell_length_c 6.0572
_cell_angle_alpha 106.12
_cell_angle_beta 106.12
_cell_angle_gamma 116.40
_space_group_name_H-M_alt 'P 1'
_space_group_IT_number 1
_space_group_name_Hall 'P 1'
loop_
_atom_site_label
_atom_site_type_symbol
_atom_site_fract_x
_atom_site_fract_y
_atom_site_fract_z
Sm1 Sm 0.8750 0.1250 0.7500
Sm2 Sm 0.1250 0.8750 0.2500
V1 V 0.6250 0.3750 0.2500
V2 V 0.3750 0.6250 0.7500
O1 O 0.7968 0.3654 0.0685
O2 O 0.7968 0.7283 0.4315
O3 O 0.6346 0.2032 0.4315
O4 O 0.2032 0.2717 0.5685
O5 O 0.2032 0.6346 0.9315
O6 O 0.2717 0.2032 0.0685
O7 O 0.7283 0.7968 0.9315
O8 O 0.3654 0.7968 0.5685

=====

(6)
# SmVO3 r²SCAN optimized geometry
# * calculated volume: 233.7 Å³/cell
# * space-group type: No. 62
# * formation energy: -3278 meV/atom
data_SmVO3
_cell_length_a 5.3691
_cell_length_b 5.6928
_cell_length_c 7.6465
_cell_angle_alpha 90.00
_cell_angle_beta 90.00
_cell_angle_gamma 90.00
_space_group_name_H-M_alt 'P 1'
_space_group_IT_number 1
_space_group_name_Hall 'P 1'
loop_
_atom_site_label
_atom_site_type_symbol
_atom_site_fract_x
_atom_site_fract_y
_atom_site_fract_z
Sm1 Sm 0.9842 0.4369 0.7500
Sm2 Sm 0.0158 0.5631 0.2500
Sm3 Sm 0.4842 0.0631 0.2500
Sm4 Sm 0.5158 0.9369 0.7500
V1 V 0.0000 0.0000 0.5000
V2 V 0.5000 0.5000 0.5000
V3 V 0.0000 0.0000 0.0000
V4 V 0.5000 0.5000 0.0000
O1 O 0.2982 0.8046 0.4501
O2 O 0.7018 0.1954 0.5499
O3 O 0.7982 0.6954 0.5499
O4 O 0.2018 0.3046 0.4501
O5 O 0.7982 0.6954 0.9501
O6 O 0.2018 0.3046 0.0499
O7 O 0.2982 0.8046 0.0499
O8 O 0.7018 0.1954 0.9501
O9 O 0.9012 0.9664 0.2500
O10 O 0.0988 0.0336 0.7500
O11 O 0.4012 0.5336 0.7500
O12 O 0.5988 0.4664 0.2500